A relaxed structure of TaN2, computed with PBE.

Output
* energy of formation: -161 meV/atom
* SG: P6/mmm, No. 191

Lattice parameters (Å, degrees): 5.460 5.460 2.800 90.00 90.00 120.00
Atoms (fractional coordinates):
Ta1 0.333 0.667 0.000
Ta2 0.667 0.333 0.000
N1 0.000 0.000 0.500
N2 0.000 0.500 0.500
N3 0.500 0.000 0.500
N4 0.500 0.500 0.500

---

A relaxed structure of EuCdPd, computed with PBE.

Output
* energy of formation: -622 meV/atom
* SG: Pnma, No. 62

Lattice parameters (Å, degrees): 7.482 4.393 8.797 90.00 90.00 90.00
Atoms (fractional coordinates):
Eu1 0.036 0.250 0.181
Eu2 0.464 0.750 0.681
Eu3 0.536 0.250 0.319
Eu4 0.964 0.750 0.819
Cd1 0.141 0.250 0.562
Cd2 0.359 0.750 0.062
Cd3 0.641 0.250 0.938
Cd4 0.859 0.750 0.438
Pd1 0.240 0.750 0.371
Pd2 0.260 0.250 0.871
Pd3 0.740 0.750 0.129
Pd4 0.760 0.250 0.629